# PBE KLaP4O12, relaxed
data_KLaP4O12
_symmetry_space_group_name_H-M 'P 1 21 1'
_symmetry_Int_Tables_number 4
_symmetry_space_group_name_Hall 'P 2yb'
_cell_length_a 7.4081
_cell_length_b 8.6551
_cell_length_c 8.1908
_cell_angle_alpha 90.00
_cell_angle_beta 91.99
_cell_angle_gamma 90.00
loop_
_atom_site_label
_atom_site_type_symbol
_atom_site_fract_x
_atom_site_fract_y
_atom_site_fract_z
K1 K 0.2271 0.0000 0.2813
La1 La 0.2655 0.6928 0.7578
P1 P 0.0661 0.0693 0.9004
P2 P 0.1236 0.4400 0.3941
P3 P 0.3963 0.2687 0.8928
P4 P 0.4982 0.0455 0.6191
O1 O 0.0411 0.2871 0.3487
O2 O 0.0461 0.5735 0.2716
O3 O 0.0603 0.6028 0.9643
O4 O 0.1104 0.4991 0.5654
O5 O 0.1831 0.9292 0.9249
O6 O 0.1865 0.2218 0.8684
O7 O 0.3321 0.4329 0.3440
O8 O 0.3316 0.9464 0.6121
O9 O 0.4148 0.4274 0.8222
O10 O 0.4600 0.2381 0.0661
O11 O 0.4699 0.6454 0.5272
O12 O 0.4924 0.6479 0.2170
# energy of formation = -2932 meV per atom
# corrected total energy (MP2020 scheme) = -139.851 eV per formula unit
# E above lowest polymorph = 0.0000 eV/atom